Record 1
## MnSO3 (PBE+U)

Data for a geometry-optimized MnSO3 structure.

DFT total energy: -202.65 eV/cell
total magnetization: 0.0 μB/f.u.

Cell lengths 8.0435, 8.0434, 8.0430 Å; angles 109.25, 109.26, 109.26 degrees
Last column: nearest neighbours and their distance in Å.
Atoms (fractional coordinates):
Mn: 0.3185 0.6346 0.8137  6 O 2.18-2.28
Mn: 0.6814 0.3652 0.1861  6 O 2.18-2.28
Mn: 0.6345 0.8140 0.3188  6 O 2.18-2.28
Mn: 0.3653 0.1861 0.6814  6 O 2.18-2.28
Mn: 0.8141 0.3186 0.6344  6 O 2.19-2.28
Mn: 0.1861 0.6813 0.3654  6 O 2.18-2.28
S: 0.2106 0.3527 0.0246  3 O 1.55-1.56
S: 0.6473 0.9754 0.7894  3 O 1.55-1.56
S: 0.0246 0.2106 0.3527  3 O 1.55-1.56
S: 0.7894 0.6473 0.9754  3 O 1.55-1.56
S: 0.9754 0.7894 0.6473  3 O 1.55-1.56
S: 0.3527 0.0246 0.2106  3 O 1.55-1.56
O: 0.5555 0.2296 0.3410  1 S 1.56
O: 0.7704 0.6591 0.4445  1 S 1.56
O: 0.4445 0.7704 0.6590  1 S 1.56
O: 0.3410 0.5555 0.2296  1 S 1.56
O: 0.2296 0.3410 0.5555  1 S 1.56
O: 0.6591 0.4445 0.7704  1 S 1.56
O: 0.8797 0.5856 0.1325  1 S 1.55
O: 0.8675 0.1203 0.4144  1 S 1.55
O: 0.1325 0.8797 0.5856  1 S 1.55
O: 0.5856 0.1325 0.8797  1 S 1.55
O: 0.4144 0.8675 0.1203  1 S 1.55
O: 0.1203 0.4144 0.8675  1 S 1.55
O: 0.0196 0.6280 0.6886  1 S 1.56
O: 0.9804 0.3720 0.3114  1 S 1.56
O: 0.6280 0.6885 0.0196  1 S 1.56
O: 0.3720 0.3115 0.9805  1 S 1.56
O: 0.3115 0.9805 0.3720  1 S 1.56
O: 0.6886 0.0197 0.6281  1 S 1.56

***

Record 2
## Mn2S3O12 (PBE+U)

Data for a geometry-optimized Mn2S3O12 structure.

distance to the lowest polymorph of the same formula: 0.008 eV/atom

Cell lengths 9.0443, 9.0443, 9.0443 Å; angles 55.09, 55.09, 55.09 degrees
Last column: nearest neighbours and their distance in Å.
Atoms (fractional coordinates):
Mn: 0.1443 0.1443 0.1443  6 O 2.11-2.13
Mn: 0.3459 0.3459 0.3459  6 O 2.00-2.05
Mn: 0.6541 0.6541 0.6541  6 O 2.00-2.05
Mn: 0.8557 0.8557 0.8557  6 O 2.11-2.13
S: 0.7440 0.0436 0.4567  4 O 1.47-1.51
S: 0.9564 0.5433 0.2560  4 O 1.47-1.51
S: 0.5433 0.2560 0.9564  4 O 1.47-1.51
S: 0.4567 0.7440 0.0436  4 O 1.47-1.51
S: 0.0436 0.4567 0.7440  4 O 1.47-1.51
S: 0.2560 0.9564 0.5433  4 O 1.47-1.51
O: 0.5274 0.2184 0.1499  1 S 1.51
O: 0.2184 0.1499 0.5274  1 S 1.51
O: 0.7862 0.0206 0.6044  1 S 1.47
O: 0.8705 0.1267 0.2596  1 S 1.47
O: 0.1499 0.5274 0.2184  1 S 1.51
O: 0.7404 0.1295 0.8733  1 S 1.47
O: 0.9794 0.3956 0.2138  1 S 1.47
O: 0.5361 0.1723 0.4878  1 S 1.49
O: 0.8277 0.5122 0.4639  1 S 1.49
O: 0.3956 0.2138 0.9794  1 S 1.47
O: 0.8733 0.7404 0.1295  1 S 1.47
O: 0.5122 0.4639 0.8277  1 S 1.49
O: 0.4878 0.5361 0.1723  1 S 1.49
O: 0.1267 0.2596 0.8705  1 S 1.47
O: 0.6044 0.7862 0.0206  1 S 1.47
O: 0.1723 0.4878 0.5361  1 S 1.49
O: 0.4639 0.8277 0.5122  1 S 1.49
O: 0.0206 0.6044 0.7862  1 S 1.47
O: 0.2596 0.8705 0.1267  1 S 1.47
O: 0.8501 0.4726 0.7816  1 S 1.51
O: 0.1295 0.8733 0.7404  1 S 1.47
O: 0.2138 0.9794 0.3956  1 S 1.47
O: 0.7816 0.8501 0.4726  1 S 1.51
O: 0.4726 0.7816 0.8501  1 S 1.51

***

Record 3
## Mn5S3O15 (PBE+U)

Data for a geometry-optimized Mn5S3O15 structure.

DFT total energy: -300.90 eV/cell
total magnetization: 17.0 μB/f.u.

Cell lengths 7.3701, 8.0983, 10.3651 Å; angles 90.00, 98.90, 90.00 degrees
Last column: nearest neighbours and their distance in Å.
Atoms (fractional coordinates):
Mn: 0.3057 0.0509 0.3923  6 O 1.98-2.18
Mn: 0.6943 0.9491 0.6077  6 O 1.98-2.18
Mn: 0.6943 0.5509 0.6077  6 O 1.98-2.18
Mn: 0.3057 0.4491 0.3923  6 O 1.98-2.18
Mn: 0.0571 0.2500 0.6002  5 O 1.93-2.05
Mn: 0.9429 0.7500 0.3998  5 O 1.93-2.05
Mn: 0.0533 0.0502 0.8411  2 O 1.69-1.89
Mn: 0.9467 0.9498 0.1589  2 O 1.69-1.89
Mn: 0.9467 0.5502 0.1589  2 O 1.69-1.89
Mn: 0.0533 0.4498 0.8411  2 O 1.69-1.89
S: 0.6497 0.2500 0.8227  3 O 1.52-1.58
S: 0.3503 0.7500 0.1773  3 O 1.52-1.58
S: 0.6836 0.2500 0.3766  3 O 1.52-1.56
S: 0.3164 0.7500 0.6234  3 O 1.52-1.56
S: 0.2431 0.2500 0.0996  3 O 1.53-1.56
S: 0.7569 0.7500 0.9004  3 O 1.53-1.56
O: 0.8654 0.2500 0.8648  1 S 1.58
O: 0.1346 0.7500 0.1352  1 S 1.58
O: 0.8867 0.2500 0.4327  1 S 1.52
O: 0.1133 0.7500 0.5673  1 S 1.52
O: 0.2551 0.2500 0.4978  3 Mn 1.93-2.02
O: 0.7449 0.7500 0.5022  3 Mn 1.93-2.02
O: 0.2809 0.2500 0.2490  1 S 1.53
O: 0.7191 0.7500 0.7510  1 S 1.53
O: 0.3961 0.5968 0.2605  1 S 1.52
O: 0.6039 0.4032 0.7395  1 S 1.52
O: 0.6039 0.0968 0.7395  1 S 1.52
O: 0.3961 0.9032 0.2605  1 S 1.52
O: 0.0579 0.5414 0.3354  3 Mn 1.89-2.05
O: 0.9421 0.4586 0.6646  3 Mn 1.89-2.05
O: 0.9421 0.0414 0.6646  3 Mn 1.89-2.05
O: 0.0579 0.9586 0.3354  3 Mn 1.89-2.05
O: 0.5991 0.0993 0.4406  1 S 1.56
O: 0.4009 0.9007 0.5594  1 S 1.56
O: 0.4009 0.5993 0.5594  1 S 1.56
O: 0.5991 0.4007 0.4406  1 S 1.56
O: 0.7597 0.0738 0.1418  1 Mn 1.69
O: 0.2403 0.9262 0.8582  1 Mn 1.69
O: 0.2403 0.5738 0.8582  1 Mn 1.69
O: 0.7597 0.4262 0.1418  1 Mn 1.69
O: 0.1161 0.0971 0.0656  1 S 1.56
O: 0.8839 0.9029 0.9344  1 S 1.56
O: 0.8839 0.5971 0.9344  1 S 1.56
O: 0.1161 0.4029 0.0656  1 S 1.56
O: 0.1798 0.2500 0.7842  3 Mn 1.98-2.00
O: 0.8202 0.7500 0.2158  3 Mn 1.98-2.00

***

Record 4
## Mn2S3O12 (PBE+U)

Data for a geometry-optimized Mn2S3O12 structure.

distance to the lowest polymorph of the same formula: 0.000 eV/atom

Cell lengths 8.5973, 8.5582, 14.3078 Å; angles 55.34, 90.00, 90.00 degrees
Last column: nearest neighbours and their distance in Å.
Atoms (fractional coordinates):
Mn: 0.9698 0.3659 0.8876  5 O 1.93-2.14
Mn: 0.4698 0.6341 0.6124  5 O 1.93-2.14
Mn: 0.0318 0.8666 0.3844  6 O 1.96-2.18
Mn: 0.5318 0.1334 0.1156  6 O 1.96-2.18
Mn: 0.4682 0.8666 0.8844  6 O 1.96-2.18
Mn: 0.9682 0.1334 0.6156  6 O 1.96-2.18
Mn: 0.5302 0.3659 0.3876  5 O 1.93-2.14
Mn: 0.0302 0.6341 0.1124  5 O 1.93-2.14
S: 0.7543 0.5559 0.4914  4 O 1.46-1.50
S: 0.6227 0.2621 0.8503  4 O 1.46-1.51
S: 0.8828 0.9741 0.1447  4 O 1.47-1.50
S: 0.1227 0.7379 0.6497  4 O 1.46-1.51
S: 0.3828 0.0259 0.3553  4 O 1.47-1.50
S: 0.2543 0.4441 0.0086  4 O 1.46-1.50
S: 0.7457 0.5559 0.9914  4 O 1.46-1.50
S: 0.6172 0.9741 0.6447  4 O 1.47-1.50
S: 0.8773 0.2621 0.3503  4 O 1.46-1.51
S: 0.1172 0.0259 0.8553  4 O 1.47-1.50
S: 0.3773 0.7379 0.1497  4 O 1.46-1.51
S: 0.2457 0.4441 0.5086  4 O 1.46-1.50
O: 0.1322 0.5966 0.4468  1 S 1.46
O: 0.1178 0.1444 0.8992  1 S 1.47
O: 0.3224 0.4435 0.6007  1 S 1.47
O: 0.4175 0.8601 0.1871  1 S 1.46
O: 0.6413 0.5258 0.5804  1 S 1.50
O: 0.7966 0.2919 0.8335  1 S 1.51
O: 0.5887 0.1604 0.9736  1 S 1.49
O: 0.9917 0.8839 0.2437  1 S 1.49
O: 0.7253 0.9806 0.1875  1 S 1.50
O: 0.8257 0.7472 0.4432  1 S 1.50
O: 0.5380 0.4452 0.7861  1 S 1.48
O: 0.0380 0.5548 0.7139  1 S 1.48
O: 0.9359 0.1709 0.0593  1 S 1.48
O: 0.4359 0.8291 0.4407  1 S 1.48
O: 0.3257 0.2528 0.0568  1 S 1.50
O: 0.2253 0.0194 0.3125  1 S 1.50
O: 0.0887 0.8396 0.5264  1 S 1.49
O: 0.4917 0.1161 0.2563  1 S 1.49
O: 0.2966 0.7081 0.6665  1 S 1.51
O: 0.1413 0.4742 0.9196  1 S 1.50
O: 0.8224 0.5565 0.8993  1 S 1.47
O: 0.6178 0.8556 0.6008  1 S 1.47
O: 0.9175 0.1399 0.3129  1 S 1.46
O: 0.6322 0.4034 0.0532  1 S 1.46
O: 0.3678 0.5966 0.9468  1 S 1.46
O: 0.0825 0.8601 0.6871  1 S 1.46
O: 0.3822 0.1444 0.3992  1 S 1.47
O: 0.1776 0.4435 0.1007  1 S 1.47
O: 0.8587 0.5258 0.0804  1 S 1.50
O: 0.7034 0.2919 0.3335  1 S 1.51
O: 0.5083 0.8839 0.7437  1 S 1.49
O: 0.9113 0.1604 0.4736  1 S 1.49
O: 0.7747 0.9806 0.6875  1 S 1.50
O: 0.6743 0.7472 0.9432  1 S 1.50
O: 0.5641 0.1709 0.5593  1 S 1.48
O: 0.0641 0.8291 0.9407  1 S 1.48
O: 0.9620 0.4452 0.2861  1 S 1.48
O: 0.4620 0.5548 0.2139  1 S 1.48
O: 0.1743 0.2528 0.5568  1 S 1.50
O: 0.2747 0.0194 0.8125  1 S 1.50
O: 0.0083 0.1161 0.7563  1 S 1.49
O: 0.4113 0.8396 0.0264  1 S 1.49
O: 0.2034 0.7081 0.1665  1 S 1.51
O: 0.3587 0.4742 0.4196  1 S 1.50
O: 0.5825 0.1399 0.8129  1 S 1.46
O: 0.6776 0.5565 0.3993  1 S 1.47
O: 0.8822 0.8556 0.1008  1 S 1.47
O: 0.8678 0.4034 0.5532  1 S 1.46

***

Repeat the second record exactly.
## Mn2S3O12 (PBE+U)

Data for a geometry-optimized Mn2S3O12 structure.

distance to the lowest polymorph of the same formula: 0.008 eV/atom

Cell lengths 9.0443, 9.0443, 9.0443 Å; angles 55.09, 55.09, 55.09 degrees
Last column: nearest neighbours and their distance in Å.
Atoms (fractional coordinates):
Mn: 0.1443 0.1443 0.1443  6 O 2.11-2.13
Mn: 0.3459 0.3459 0.3459  6 O 2.00-2.05
Mn: 0.6541 0.6541 0.6541  6 O 2.00-2.05
Mn: 0.8557 0.8557 0.8557  6 O 2.11-2.13
S: 0.7440 0.0436 0.4567  4 O 1.47-1.51
S: 0.9564 0.5433 0.2560  4 O 1.47-1.51
S: 0.5433 0.2560 0.9564  4 O 1.47-1.51
S: 0.4567 0.7440 0.0436  4 O 1.47-1.51
S: 0.0436 0.4567 0.7440  4 O 1.47-1.51
S: 0.2560 0.9564 0.5433  4 O 1.47-1.51
O: 0.5274 0.2184 0.1499  1 S 1.51
O: 0.2184 0.1499 0.5274  1 S 1.51
O: 0.7862 0.0206 0.6044  1 S 1.47
O: 0.8705 0.1267 0.2596  1 S 1.47
O: 0.1499 0.5274 0.2184  1 S 1.51
O: 0.7404 0.1295 0.8733  1 S 1.47
O: 0.9794 0.3956 0.2138  1 S 1.47
O: 0.5361 0.1723 0.4878  1 S 1.49
O: 0.8277 0.5122 0.4639  1 S 1.49
O: 0.3956 0.2138 0.9794  1 S 1.47
O: 0.8733 0.7404 0.1295  1 S 1.47
O: 0.5122 0.4639 0.8277  1 S 1.49
O: 0.4878 0.5361 0.1723  1 S 1.49
O: 0.1267 0.2596 0.8705  1 S 1.47
O: 0.6044 0.7862 0.0206  1 S 1.47
O: 0.1723 0.4878 0.5361  1 S 1.49
O: 0.4639 0.8277 0.5122  1 S 1.49
O: 0.0206 0.6044 0.7862  1 S 1.47
O: 0.2596 0.8705 0.1267  1 S 1.47
O: 0.8501 0.4726 0.7816  1 S 1.51
O: 0.1295 0.8733 0.7404  1 S 1.47
O: 0.2138 0.9794 0.3956  1 S 1.47
O: 0.7816 0.8501 0.4726  1 S 1.51
O: 0.4726 0.7816 0.8501  1 S 1.51